# Mn4Zn3Ni2O12

A relaxed structure of Mn4Zn3Ni2O12 (PBE with a Hubbard U, the Materials Project).

Results
E_form = -1.79 eV per atom
symmetry = C2/c
energy with MP2020 corrections = -7.0947 eV per atom

Lattice parameters (Å, degrees): 6.007 6.007 13.245 102.50 102.50 90.36
Atoms (fractional coordinates):
Mn 0.000 0.000 0.000
Mn 0.000 0.000 0.500
Mn 0.000 0.500 0.000
Mn 0.332 0.340 0.666
Mn 0.340 0.332 0.166
Mn 0.500 0.000 0.500
Mn 0.660 0.668 0.834
Mn 0.668 0.660 0.334
Zn 0.134 0.866 0.250
Zn 0.199 0.477 0.416
Zn 0.477 0.199 0.916
Zn 0.523 0.801 0.084
Zn 0.801 0.523 0.584
Zn 0.866 0.134 0.750
Ni 0.164 0.667 0.832
Ni 0.333 0.836 0.668
Ni 0.667 0.164 0.332
Ni 0.836 0.333 0.168
O 0.095 0.552 0.157
O 0.100 0.104 0.163
O 0.104 0.100 0.663
O 0.115 0.574 0.672
O 0.205 0.751 0.996
O 0.249 0.795 0.504
O 0.255 0.263 0.513
O 0.263 0.255 0.013
O 0.424 0.428 0.823
O 0.426 0.885 0.828
O 0.428 0.424 0.323
O 0.448 0.905 0.343
O 0.552 0.095 0.657
O 0.572 0.576 0.677
O 0.574 0.115 0.172
O 0.576 0.572 0.177
O 0.737 0.745 0.987
O 0.745 0.737 0.487
O 0.751 0.205 0.496
O 0.795 0.249 0.004
O 0.885 0.426 0.328
O 0.896 0.900 0.337
O 0.900 0.896 0.837
O 0.905 0.448 0.843